1.
{"formula": "Na4MnO5", "functional": "PBE with a Hubbard U", "state": "optimized geometry", "final_energy_ev_per_atom": -5.045, "e_form_ev_per_atom": -1.636, "lattice": [[0.0000, -7.4748, 0.0000], [-9.1108, 0.0000, 0.0000], [0.0000, 0.0000, -8.3395]], "species": ["Na", "Na", "Na", "Na", "Na", "Na", "Na", "Na", "Na", "Na", "Na", "Na", "Na", "Na", "Na", "Na", "Mn", "Mn", "Mn", "Mn", "O", "O", "O", "O", "O", "O", "O", "O", "O", "O", "O", "O", "O", "O", "O", "O", "O", "O", "O", "O"], "frac_coords": [[0.4933, 0.8693, 0.6484], [0.5067, 0.1307, 0.3516], [0.5067, 0.6307, 0.1484], [0.9933, 0.1307, 0.3516], [0.4933, 0.3693, 0.8516], [0.0067, 0.8693, 0.6484], [0.0067, 0.3693, 0.8516], [0.9933, 0.6307, 0.1484], [0.7500, 0.8617, 0.2743], [0.2500, 0.1383, 0.7257], [0.2500, 0.6383, 0.7743], [0.7500, 0.3617, 0.2257], [0.0000, 0.0000, 0.0000], [0.0000, 0.5000, 0.5000], [0.5000, 0.0000, 0.0000], [0.5000, 0.5000, 0.5000], [0.7500, 0.6382, 0.8515], [0.2500, 0.3618, 0.1485], [0.2500, 0.8618, 0.3515], [0.7500, 0.1382, 0.6485], [0.7500, 0.6077, 0.3318], [0.2500, 0.3923, 0.6682], [0.2500, 0.8923, 0.8318], [0.7500, 0.1077, 0.1682], [0.7500, 0.9876, 0.5212], [0.2500, 0.0124, 0.4788], [0.2500, 0.5124, 0.0212], [0.7500, 0.4876, 0.9788], [0.9388, 0.6279, 0.7374], [0.0612, 0.3721, 0.2626], [0.0612, 0.8721, 0.2374], [0.4388, 0.3721, 0.2626], [0.9388, 0.1279, 0.7626], [0.5612, 0.6279, 0.7374], [0.5612, 0.1279, 0.7626], [0.4388, 0.8721, 0.2374], [0.7500, 0.7891, 0.9727], [0.2500, 0.2109, 0.0273], [0.2500, 0.7109, 0.4727], [0.7500, 0.2891, 0.5273]]}

2.
{"formula": "Li5Mn5V2O12", "functional": "PBE with a Hubbard U", "state": "optimized geometry", "final_energy_ev_per_atom": -6.922, "e_form_ev_per_atom": -2.217, "lattice": [[-2.5588, -3.8720, -2.4479], [3.0128, 3.3089, -2.7398], [7.8624, -6.1092, -0.2182]], "species": ["Li", "Li", "Li", "Li", "Li", "Mn", "Mn", "Mn", "Mn", "Mn", "V", "V", "O", "O", "O", "O", "O", "O", "O", "O", "O", "O", "O", "O"], "frac_coords": [[0.8344, 0.6618, 0.2543], [0.6761, 0.8468, 0.7459], [0.3382, 0.1656, 0.7457], [0.1532, 0.3239, 0.2541], [0.0854, 0.9146, 0.5000], [0.9211, 0.0789, 0.0000], [0.0013, 0.5061, 0.7471], [0.4939, 0.9987, 0.2529], [0.5761, 0.4239, 0.0000], [0.4242, 0.5758, 0.5000], [0.7517, 0.2483, 0.5000], [0.2486, 0.7514, 0.0000], [0.0341, 0.2316, 0.6254], [0.7684, 0.9659, 0.3746], [0.8934, 0.3970, 0.1168], [0.6030, 0.1066, 0.8832], [0.7248, 0.5279, 0.6228], [0.4721, 0.2752, 0.3772], [0.5290, 0.7225, 0.1287], [0.2775, 0.4710, 0.8713], [0.4210, 0.9128, 0.6111], [0.0872, 0.5790, 0.3889], [0.2176, 0.0323, 0.1301], [0.9677, 0.7824, 0.8699]]}

3.
{"formula": "NaAlCr2H2O8", "functional": "PBE with a Hubbard U", "state": "optimized geometry", "final_energy_ev_per_atom": -5.749, "e_form_ev_per_atom": -1.374, "lattice": [[2.6736, 7.0436, 0.0000], [-2.6736, 7.0436, 0.0000], [0.0000, 4.0330, 10.2972]], "species": ["Na", "Na", "Al", "Al", "Cr", "Cr", "Cr", "Cr", "H", "H", "H", "H", "O", "O", "O", "O", "O", "O", "O", "O", "O", "O", "O", "O", "O", "O", "O", "O"], "frac_coords": [[0.7156, 0.2844, 0.7500], [0.2844, 0.7156, 0.2500], [0.5000, 0.0000, 0.0000], [0.0000, 0.5000, 0.5000], [0.3402, 0.8612, 0.5368], [0.6598, 0.1388, 0.4632], [0.1388, 0.6598, 0.9632], [0.8612, 0.3402, 0.0368], [0.4848, 0.9503, 0.8383], [0.5152, 0.0497, 0.1617], [0.0497, 0.5152, 0.6617], [0.9503, 0.4848, 0.3383], [0.6470, 0.1240, 0.6152], [0.3530, 0.8760, 0.3848], [0.8760, 0.3530, 0.8848], [0.1240, 0.6470, 0.1152], [0.8161, 0.8992, 0.9223], [0.1839, 0.1008, 0.0777], [0.1008, 0.1839, 0.5777], [0.8992, 0.8161, 0.4223], [0.2529, 0.7099, 0.6265], [0.7471, 0.2901, 0.3735], [0.2901, 0.7471, 0.8735], [0.7099, 0.2529, 0.1265], [0.6532, 0.6767, 0.5693], [0.3468, 0.3233, 0.4307], [0.3233, 0.3468, 0.9307], [0.6767, 0.6532, 0.0693]]}

4.
{"formula": "Ca2Mn2O5", "functional": "PBE with a Hubbard U", "state": "optimized geometry", "de_polymorph_ev_per_atom": 0.0132, "final_energy_ev_per_atom": -7.041, "e_form_ev_per_atom": -2.563, "lattice": [[-0.1364, 0.0014, 5.4820], [5.6371, -0.0082, -0.1413], [-2.8982, 7.4701, 2.8140]], "species": ["Ca", "Ca", "Ca", "Ca", "Mn", "Mn", "Mn", "Mn", "O", "O", "O", "O", "O", "O", "O", "O", "O", "O"], "frac_coords": [[0.4010, 0.1265, 0.2126], [0.6038, 0.8698, 0.7821], [0.8890, 0.5838, 0.2168], [0.1167, 0.4179, 0.7874], [0.7094, 0.1938, 0.5010], [0.2170, 0.8187, 0.4992], [0.5119, 0.4961, 0.0038], [0.0139, 0.9949, 0.9978], [0.3520, 0.1695, 0.4991], [0.8432, 0.8740, 0.5001], [0.2784, 0.2370, 0.9716], [0.2553, 0.7423, 0.0391], [0.7672, 0.2400, 0.9624], [0.7461, 0.7589, 0.0278], [0.8888, 0.1899, 0.2651], [0.1743, 0.8013, 0.7405], [0.4149, 0.5563, 0.2560], [0.6451, 0.4293, 0.7376]]}

5.
{"formula": "SrLa3MnCuO8", "functional": "PBE with a Hubbard U", "state": "optimized geometry", "final_energy_ev_per_atom": -7.432, "e_form_ev_per_atom": -2.991, "lattice": [[-1.9772, 1.8168, 6.5491], [7.3083, -2.3990, 0.6049], [2.3862, 6.4902, -3.3208]], "species": ["Sr", "Sr", "La", "La", "La", "La", "La", "La", "Mn", "Mn", "Cu", "Cu", "O", "O", "O", "O", "O", "O", "O", "O", "O", "O", "O", "O", "O", "O", "O", "O"], "frac_coords": [[0.2864, 0.3216, 0.8216], [0.2863, 0.8216, 0.3216], [0.2792, 0.3198, 0.3198], [0.2792, 0.8198, 0.8198], [0.7167, 0.6792, 0.6792], [0.7167, 0.1792, 0.1792], [0.7202, 0.1801, 0.6800], [0.7201, 0.6800, 0.1800], [0.0004, 0.0001, 0.5001], [0.0004, 0.5001, 0.0001], [0.0072, 0.5019, 0.5019], [0.0072, 0.0018, 0.0019], [0.6253, 0.4063, 0.4063], [0.6253, 0.9063, 0.9063], [0.6671, 0.4168, 0.9168], [0.6671, 0.9168, 0.4168], [0.3529, 0.0882, 0.5882], [0.3529, 0.5882, 0.0882], [0.3711, 0.5928, 0.5928], [0.3711, 0.0928, 0.0928], [0.9942, 0.4995, 0.7508], [0.9942, 0.9995, 0.2508], [0.9943, 0.4976, 0.2464], [0.9942, 0.9976, 0.7463], [0.9925, 0.2462, 0.9993], [0.9925, 0.7462, 0.4993], [0.9925, 0.7501, 0.9970], [0.9925, 0.2501, 0.4970]]}

6.
{"formula": "Mn6O5F7", "functional": "PBE with a Hubbard U", "state": "optimized geometry", "de_polymorph_ev_per_atom": 0.0481, "final_energy_ev_per_atom": -6.639, "e_form_ev_per_atom": -2.392, "lattice": [[-0.7492, 0.9117, 5.4619], [4.3028, -2.1647, 1.2560], [6.0756, 13.9072, -2.0458]], "species": ["Mn", "Mn", "Mn", "Mn", "Mn", "Mn", "Mn", "Mn", "Mn", "Mn", "Mn", "Mn", "O", "O", "O", "O", "O", "O", "O", "O", "O", "O", "F", "F", "F", "F", "F", "F", "F", "F", "F", "F", "F", "F", "F", "F"], "frac_coords": [[0.9216, 0.0119, 0.9982], [0.1283, 0.5139, 0.1612], [0.8979, 0.0086, 0.3275], [0.1043, 0.5118, 0.5002], [0.9756, 0.9723, 0.6696], [0.0946, 0.5004, 0.8190], [0.4544, 0.9750, 0.1694], [0.4360, 0.4829, 0.0068], [0.4316, 0.5026, 0.6697], [0.5252, 0.0061, 0.5083], [0.4226, 0.4688, 0.3359], [0.5011, 0.0003, 0.8329], [0.2024, 0.7552, 0.0780], [0.2370, 0.7636, 0.7491], [0.3614, 0.2792, 0.1043], [0.3578, 0.6842, 0.2356], [0.3234, 0.7270, 0.5703], [0.3469, 0.2783, 0.7659], [0.3545, 0.2826, 0.4400], [0.6236, 0.2108, 0.9406], [0.6082, 0.2166, 0.6086], [0.5986, 0.1787, 0.2705], [0.1140, 0.2563, 0.2541], [0.1047, 0.2855, 0.6066], [0.1490, 0.7447, 0.3903], [0.1387, 0.2723, 0.9305], [0.3756, 0.7199, 0.9114], [0.6693, 0.8010, 0.0632], [0.6284, 0.7890, 0.3952], [0.7193, 0.7267, 0.7226], [0.8663, 0.2879, 0.4347], [0.8849, 0.3187, 0.0970], [0.8558, 0.2191, 0.7794], [0.8401, 0.7660, 0.5477], [0.8693, 0.7485, 0.8864], [0.8777, 0.7337, 0.2197]]}

7.
{"formula": "NaMn3AgP3O12", "functional": "PBE with a Hubbard U", "state": "optimized geometry", "final_energy_ev_per_atom": -7.081, "e_form_ev_per_atom": -2.381, "lattice": [[-6.5793, 4.7698, -3.5320], [-4.9835, -2.8297, 6.7581], [-0.9791, 5.2406, 4.0221]], "species": ["Na", "Na", "Mn", "Mn", "Mn", "Mn", "Mn", "Mn", "Ag", "Ag", "P", "P", "P", "P", "P", "P", "O", "O", "O", "O", "O", "O", "O", "O", "O", "O", "O", "O", "O", "O", "O", "O", "O", "O", "O", "O", "O", "O", "O", "O"], "frac_coords": [[0.5000, 0.5000, 0.0000], [0.5000, 0.5000, 0.5000], [0.2679, 0.7321, 0.2500], [0.7321, 0.2679, 0.7500], [0.3807, 0.0626, 0.3651], [0.6193, 0.9374, 0.6349], [0.9374, 0.6193, 0.1349], [0.0626, 0.3807, 0.8651], [0.9889, 0.0111, 0.2500], [0.0111, 0.9889, 0.7500], [0.6530, 0.8741, 0.1281], [0.3470, 0.1259, 0.8719], [0.1259, 0.3470, 0.3719], [0.8741, 0.6530, 0.6281], [0.7149, 0.2851, 0.2500], [0.2851, 0.7149, 0.7500], [0.5980, 0.9526, 0.3134], [0.4020, 0.0474, 0.6866], [0.0474, 0.4020, 0.1866], [0.9526, 0.5980, 0.8134], [0.3278, 0.9985, 0.0998], [0.6722, 0.0015, 0.9002], [0.0015, 0.6722, 0.4002], [0.9985, 0.3278, 0.5998], [0.5284, 0.7276, 0.1772], [0.4716, 0.2724, 0.8228], [0.2724, 0.4716, 0.3228], [0.7276, 0.5284, 0.6772], [0.5409, 0.2634, 0.2444], [0.4591, 0.7366, 0.7556], [0.7366, 0.4591, 0.2556], [0.2634, 0.5409, 0.7444], [0.7397, 0.1728, 0.4625], [0.2603, 0.8272, 0.5375], [0.8272, 0.2603, 0.0375], [0.1728, 0.7397, 0.9625], [0.8218, 0.8264, 0.1205], [0.1782, 0.1736, 0.8795], [0.1736, 0.1782, 0.3795], [0.8264, 0.8218, 0.6205]]}

8.
{"formula": "LiCo3P6O20", "functional": "PBE with a Hubbard U", "state": "optimized geometry", "final_energy_ev_per_atom": -6.781, "e_form_ev_per_atom": -2.247, "lattice": [[5.0889, -6.6491, 0.0000], [5.0889, 6.6491, 0.0000], [0.0000, 0.0000, 12.2475]], "species": ["Li", "Li", "Co", "Co", "Co", "Co", "Co", "Co", "P", "P", "P", "P", "P", "P", "P", "P", "P", "P", "P", "P", "O", "O", "O", "O", "O", "O", "O", "O", "O", "O", "O", "O", "O", "O", "O", "O", "O", "O", "O", "O", "O", "O", "O", "O", "O", "O", "O", "O", "O", "O", "O", "O", "O", "O", "O", "O", "O", "O", "O", "O"], "frac_coords": [[0.4112, 0.4112, 0.7500], [0.5888, 0.5888, 0.2500], [0.8765, 0.8765, 0.2500], [0.2398, 0.7602, 0.0000], [0.3027, 0.6973, 0.5000], [0.6973, 0.3027, 0.0000], [0.7602, 0.2398, 0.5000], [0.1235, 0.1235, 0.7500], [0.2631, 0.8461, 0.2632], [0.8461, 0.2631, 0.2368], [0.8193, 0.7004, 0.0302], [0.1539, 0.7369, 0.7368], [0.7004, 0.8193, 0.4698], [0.6296, 0.9115, 0.9344], [0.3704, 0.0885, 0.4344], [0.0885, 0.3704, 0.0656], [0.2996, 0.1807, 0.9698], [0.9115, 0.6296, 0.5656], [0.7369, 0.1539, 0.7632], [0.1807, 0.2996, 0.5302], [0.7902, 0.8409, 0.9462], [0.9692, 0.6442, 0.6917], [0.7400, 0.7276, 0.1423], [0.7276, 0.7400, 0.3577], [0.6442, 0.9692, 0.8083], [0.8409, 0.7902, 0.5538], [0.2098, 0.1591, 0.4462], [0.1591, 0.2098, 0.0538], [0.0308, 0.3558, 0.1917], [0.3558, 0.0308, 0.3083], [0.2724, 0.2600, 0.8577], [0.2600, 0.2724, 0.6423], [0.6567, 0.0598, 0.0087], [0.2794, 0.6799, 0.6673], [0.0033, 0.7324, 0.0451], [0.7324, 0.0033, 0.4549], [0.2752, 0.4617, 0.4794], [0.4617, 0.2752, 0.0206], [0.2274, 0.5245, 0.0518], [0.5245, 0.2274, 0.4482], [0.6838, 0.1552, 0.6450], [0.1552, 0.6838, 0.8550], [0.8347, 0.0762, 0.2242], [0.0762, 0.8347, 0.2758], [0.9402, 0.3433, 0.9913], [0.6799, 0.2794, 0.8327], [0.7206, 0.3201, 0.1673], [0.3201, 0.7206, 0.3327], [0.1653, 0.9238, 0.7242], [0.9238, 0.1653, 0.7758], [0.3162, 0.8448, 0.1450], [0.8448, 0.3162, 0.3550], [0.7726, 0.4755, 0.5518], [0.4755, 0.7726, 0.9482], [0.7248, 0.5383, 0.9794], [0.5383, 0.7248, 0.5206], [0.9967, 0.2676, 0.5451], [0.2676, 0.9967, 0.9549], [0.3433, 0.9402, 0.5087], [0.0598, 0.6567, 0.4913]]}

9.
{"formula": "FeAsH4O6", "functional": "PBE with a Hubbard U", "state": "optimized geometry", "final_energy_ev_per_atom": -5.658, "e_form_ev_per_atom": -1.491, "lattice": [[9.0450, 0.0000, 0.0000], [0.0000, 10.1036, 0.0000], [0.0000, 0.0000, 10.5658]], "species": ["Fe", "Fe", "Fe", "Fe", "Fe", "Fe", "Fe", "Fe", "As", "As", "As", "As", "As", "As", "As", "As", "H", "H", "H", "H", "H", "H", "H", "H", "H", "H", "H", "H", "H", "H", "H", "H", "H", "H", "H", "H", "H", "H", "H", "H", "H", "H", "H", "H", "H", "H", "H", "H", "O", "O", "O", "O", "O", "O", "O", "O", "O", "O", "O", "O", "O", "O", "O", "O", "O", "O", "O", "O", "O", "O", "O", "O", "O", "O", "O", "O", "O", "O", "O", "O", "O", "O", "O", "O", "O", "O", "O", "O", "O", "O", "O", "O", "O", "O", "O", "O"], "frac_coords": [[0.6468, 0.8176, 0.3713], [0.1468, 0.6824, 0.6287], [0.3532, 0.3176, 0.1287], [0.8532, 0.1824, 0.8713], [0.3532, 0.1824, 0.6287], [0.8532, 0.3176, 0.3713], [0.6468, 0.6824, 0.8713], [0.1468, 0.8176, 0.1287], [0.5349, 0.1365, 0.3503], [0.0349, 0.3635, 0.6497], [0.4651, 0.6365, 0.1497], [0.9651, 0.8635, 0.8503], [0.4651, 0.8635, 0.6497], [0.9651, 0.6365, 0.3503], [0.5349, 0.3635, 0.8503], [0.0349, 0.1365, 0.1497], [0.6828, 0.8279, 0.1294], [0.1828, 0.6721, 0.8706], [0.3172, 0.3279, 0.3706], [0.8172, 0.1721, 0.6294], [0.3172, 0.1721, 0.8706], [0.8172, 0.3279, 0.1294], [0.6828, 0.6721, 0.6294], [0.1828, 0.8279, 0.3706], [0.8334, 0.8992, 0.1836], [0.3334, 0.6008, 0.8164], [0.1666, 0.3992, 0.3164], [0.6666, 0.1008, 0.6836], [0.1666, 0.1008, 0.8164], [0.6666, 0.3992, 0.1836], [0.8334, 0.6008, 0.6836], [0.3334, 0.8992, 0.3164], [0.8607, 0.9064, 0.5256], [0.3607, 0.5936, 0.4744], [0.1393, 0.4064, 0.9744], [0.6393, 0.0936, 0.0256], [0.1393, 0.0936, 0.4744], [0.6393, 0.4064, 0.5256], [0.8607, 0.5936, 0.0256], [0.3607, 0.9064, 0.9744], [0.8020, 0.0254, 0.4334], [0.3020, 0.4746, 0.5666], [0.1980, 0.5254, 0.0666], [0.6980, 0.9746, 0.9334], [0.1980, 0.9746, 0.5666], [0.6980, 0.5254, 0.4334], [0.8020, 0.4746, 0.9334], [0.3020, 0.0254, 0.0666], [0.5019, 0.9689, 0.3587], [0.0019, 0.5311, 0.6413], [0.4981, 0.4689, 0.1413], [0.9981, 0.0311, 0.8587], [0.4981, 0.0311, 0.6413], [0.9981, 0.4689, 0.3587], [0.5019, 0.5311, 0.8587], [0.0019, 0.9689, 0.1413], [0.7175, 0.1605, 0.3921], [0.2175, 0.3395, 0.6079], [0.2825, 0.6605, 0.1079], [0.7825, 0.8395, 0.8921], [0.2825, 0.8395, 0.6079], [0.7825, 0.6605, 0.3921], [0.7175, 0.3395, 0.8921], [0.2175, 0.1605, 0.1079], [0.5059, 0.1969, 0.2005], [0.0059, 0.3031, 0.7995], [0.4941, 0.6969, 0.2995], [0.9941, 0.8031, 0.7005], [0.4941, 0.8031, 0.7995], [0.9941, 0.6969, 0.2005], [0.5059, 0.3031, 0.7005], [0.0059, 0.1969, 0.2995], [0.4166, 0.2206, 0.4506], [0.9166, 0.2794, 0.5494], [0.5834, 0.7206, 0.0494], [0.0834, 0.7794, 0.9506], [0.5834, 0.7794, 0.5494], [0.0834, 0.7206, 0.4506], [0.4166, 0.2794, 0.9506], [0.9166, 0.2206, 0.0494], [0.7256, 0.8849, 0.1985], [0.2256, 0.6151, 0.8015], [0.2744, 0.3849, 0.3015], [0.7744, 0.1151, 0.6985], [0.2744, 0.1151, 0.8015], [0.7744, 0.3849, 0.1985], [0.7256, 0.6151, 0.6985], [0.2256, 0.8849, 0.3015], [0.8282, 0.9286, 0.4395], [0.3282, 0.5714, 0.5605], [0.1718, 0.4286, 0.0605], [0.6718, 0.0714, 0.9395], [0.1718, 0.0714, 0.5605], [0.6718, 0.4286, 0.4395], [0.8282, 0.5714, 0.9395], [0.3282, 0.9286, 0.0605]]}